[1]
A relaxed structure of Li9Mn2Co5O16, computed with GGA+U.

Calculated values
Symmetry: C2, No. 5
Distance to the lowest polymorph of the same formula, meV per atom: 58
Total energy, eV per atom: -5.797

Geometry as CIF:
```
data_Li9Mn2Co5O16
_chemical_formula_sum 'Li9 Mn2 Co5 O16'
_symmetry_space_group_name_H-M 'P 1'
_symmetry_Int_Tables_number 1
_symmetry_space_group_name_Hall 'P 1'
_cell_length_a 7.7305
_cell_length_b 7.7305
_cell_length_c 5.1670
_cell_angle_alpha 104.59
_cell_angle_beta 104.59
_cell_angle_gamma 95.50
loop_
_atom_site_label
_atom_site_type_symbol
_atom_site_fract_x
_atom_site_fract_y
_atom_site_fract_z
Li1 Li 0.0004 0.9996 0.0000
Li2 Li 0.1205 0.3690 0.9908
Li3 Li 0.2403 0.2403 0.4840
Li4 Li 0.3670 0.1234 0.0055
Li5 Li 0.5025 0.0062 0.4903
Li6 Li 0.6310 0.8795 0.0092
Li7 Li 0.7597 0.7597 0.5160
Li8 Li 0.8766 0.6330 0.9945
Li9 Li 0.9938 0.4975 0.5097
Mn1 Mn 0.2447 0.7553 0.0000
Mn2 Mn 0.4994 0.5006 0.0000
Co1 Co 0.1186 0.8814 0.5000
Co2 Co 0.3735 0.6265 0.5000
Co3 Co 0.6260 0.3740 0.5000
Co4 Co 0.7530 0.2470 0.0000
Co5 Co 0.8731 0.1269 0.5000
O1 O 0.0142 0.7480 0.7624
O2 O 0.1083 0.1156 0.7131
O3 O 0.1431 0.6478 0.2530
O4 O 0.2520 0.9858 0.2376
O5 O 0.2588 0.5115 0.7721
O6 O 0.3522 0.8569 0.7470
O7 O 0.3750 0.3870 0.2780
O8 O 0.4885 0.7412 0.2279
O9 O 0.5157 0.2616 0.7687
O10 O 0.6130 0.6250 0.7220
O11 O 0.6366 0.1305 0.2742
O12 O 0.7384 0.4843 0.2313
O13 O 0.7624 0.0291 0.7437
O14 O 0.8695 0.3634 0.7258
O15 O 0.8844 0.8917 0.2869
O16 O 0.9709 0.2376 0.2563
```

---

[2]
A relaxed structure of CoF2, computed with GGA+U.

Calculated values
Symmetry: P4_2/mnm, No. 136
Total energy, eV per atom: -5.141

Geometry as CIF:
```
data_CoF2
_chemical_formula_sum 'Co2 F4'
_symmetry_space_group_name_H-M 'P 1'
_symmetry_Int_Tables_number 1
_symmetry_space_group_name_Hall 'P 1'
_cell_length_a 4.7468
_cell_length_b 4.7468
_cell_length_c 3.2186
_cell_angle_alpha 90.00
_cell_angle_beta 90.00
_cell_angle_gamma 90.00
loop_
_atom_site_label
_atom_site_type_symbol
_atom_site_fract_x
_atom_site_fract_y
_atom_site_fract_z
Co1 Co 0.0000 0.0000 0.0000
Co2 Co 0.5000 0.5000 0.5000
F1 F 0.1957 0.1957 0.5000
F2 F 0.3043 0.6957 0.0000
F3 F 0.6957 0.3043 0.0000
F4 F 0.8043 0.8043 0.5000
```

---

[3]
A relaxed structure of Li9Mn7O16, computed with GGA+U.

Calculated values
Symmetry: P2/m, No. 10
Distance to the lowest polymorph of the same formula, meV per atom: 19
Total energy, eV per atom: -6.433

Geometry as CIF:
```
data_Li9Mn7O16
_chemical_formula_sum 'Li9 Mn7 O16'
_symmetry_space_group_name_H-M 'P 1'
_symmetry_Int_Tables_number 1
_symmetry_space_group_name_Hall 'P 1'
_cell_length_a 9.7580
_cell_length_b 2.8771
_cell_length_c 10.6934
_cell_angle_alpha 90.00
_cell_angle_beta 96.95
_cell_angle_gamma 90.00
loop_
_atom_site_label
_atom_site_type_symbol
_atom_site_fract_x
_atom_site_fract_y
_atom_site_fract_z
Li1 Li 0.0000 0.0000 0.0000
Li2 Li 0.2428 0.0000 0.8769
Li3 Li 0.2444 0.5000 0.1207
Li4 Li 0.2473 0.0000 0.3713
Li5 Li 0.2530 0.5000 0.6293
Li6 Li 0.7470 0.5000 0.3707
Li7 Li 0.7527 0.0000 0.6287
Li8 Li 0.7556 0.5000 0.8793
Li9 Li 0.7572 0.0000 0.1231
Mn1 Mn 0.0000 0.0000 0.5000
Mn2 Mn 0.0068 0.5000 0.7634
Mn3 Mn 0.4980 0.0000 0.2497
Mn4 Mn 0.5000 0.5000 0.0000
Mn5 Mn 0.5000 0.5000 0.5000
Mn6 Mn 0.5020 0.0000 0.7503
Mn7 Mn 0.9932 0.5000 0.2366
O1 O 0.1072 0.5000 0.4325
O2 O 0.1118 0.5000 0.9157
O3 O 0.1128 0.0000 0.1951
O4 O 0.1134 0.0000 0.6947
O5 O 0.3815 0.0000 0.0520
O6 O 0.3817 0.0000 0.5519
O7 O 0.3816 0.5000 0.3036
O8 O 0.3858 0.5000 0.8019
O9 O 0.6142 0.5000 0.1981
O10 O 0.6183 0.0000 0.4481
O11 O 0.6184 0.5000 0.6964
O12 O 0.6185 0.0000 0.9480
O13 O 0.8866 0.0000 0.3053
O14 O 0.8872 0.0000 0.8049
O15 O 0.8882 0.5000 0.0843
O16 O 0.8928 0.5000 0.5675
```

---

[4]
A relaxed structure of Fe3O4F2, computed with GGA+U.

Calculated values
Symmetry: P2_1/c, No. 14
Distance to the lowest polymorph of the same formula, meV per atom: 47
Total energy, eV per atom: -6.042

Geometry as CIF:
```
data_Fe3O4F2
_chemical_formula_sum 'Fe6 O8 F4'
_symmetry_space_group_name_H-M 'P 1'
_symmetry_Int_Tables_number 1
_symmetry_space_group_name_Hall 'P 1'
_cell_length_a 7.7111
_cell_length_b 4.6643
_cell_length_c 5.5153
_cell_angle_alpha 90.00
_cell_angle_beta 93.78
_cell_angle_gamma 90.00
loop_
_atom_site_label
_atom_site_type_symbol
_atom_site_fract_x
_atom_site_fract_y
_atom_site_fract_z
Fe1 Fe 0.0000 0.0000 0.0000
Fe2 Fe 0.0000 0.5000 0.5000
Fe3 Fe 0.3370 0.0328 0.3321
Fe4 Fe 0.3370 0.4672 0.8321
Fe5 Fe 0.6630 0.5328 0.1679
Fe6 Fe 0.6630 0.9672 0.6679
O1 O 0.1043 0.1921 0.2909
O2 O 0.1043 0.3079 0.7909
O3 O 0.4401 0.1863 0.6345
O4 O 0.4401 0.3137 0.1345
O5 O 0.5599 0.6863 0.8655
O6 O 0.5599 0.8137 0.3655
O7 O 0.8957 0.6921 0.2091
O8 O 0.8957 0.8079 0.7091
F1 F 0.2429 0.7038 0.5346
F2 F 0.2429 0.7962 0.0346
F3 F 0.7571 0.2038 0.9654
F4 F 0.7571 0.2962 0.4654
```

---

[5]
A relaxed structure of TlMo2P3O13, computed with GGA+U.

Calculated values
Symmetry: P2_1, No. 4
Total energy, eV per atom: -7.055

Geometry as CIF:
```
data_TlMo2P3O13
_chemical_formula_sum 'Tl4 Mo8 P12 O52'
_symmetry_space_group_name_H-M 'P 1'
_symmetry_Int_Tables_number 1
_symmetry_space_group_name_Hall 'P 1'
_cell_length_a 6.4931
_cell_length_b 19.7181
_cell_length_c 9.9543
_cell_angle_alpha 90.00
_cell_angle_beta 107.26
_cell_angle_gamma 90.00
loop_
_atom_site_label
_atom_site_type_symbol
_atom_site_fract_x
_atom_site_fract_y
_atom_site_fract_z
Tl1 Tl 0.2123 0.0000 0.1329
Tl2 Tl 0.2345 0.1754 0.5057
Tl3 Tl 0.7655 0.6754 0.4943
Tl4 Tl 0.7877 0.5000 0.8671
Mo1 Mo 0.0636 0.7956 0.8916
Mo2 Mo 0.1450 0.5064 0.5718
Mo3 Mo 0.3575 0.8338 0.4452
Mo4 Mo 0.4389 0.5504 0.1281
Mo5 Mo 0.5611 0.0504 0.8719
Mo6 Mo 0.6425 0.3338 0.5548
Mo7 Mo 0.8550 0.0064 0.4282
Mo8 Mo 0.9364 0.2956 0.1084
P1 P 0.0124 0.0840 0.7809
P2 P 0.0981 0.3481 0.4582
P3 P 0.2426 0.7055 0.2083
P4 P 0.2605 0.6383 0.8065
P5 P 0.4004 0.9945 0.5298
P6 P 0.4833 0.2605 0.2011
P7 P 0.5167 0.7605 0.7989
P8 P 0.5996 0.4945 0.4702
P9 P 0.7395 0.1383 0.1935
P10 P 0.7574 0.2055 0.7917
P11 P 0.9019 0.8481 0.5418
P12 P 0.9876 0.5840 0.2191
O1 O 0.0276 0.6645 0.2116
O2 O 0.0444 0.5660 0.3739
O3 O 0.0479 0.3112 0.3165
O4 O 0.0553 0.8211 0.4617
O5 O 0.0699 0.8777 0.9476
O6 O 0.0819 0.4255 0.4351
O7 O 0.0910 0.6876 0.8257
O8 O 0.1207 0.5479 0.1354
O9 O 0.1652 0.7576 0.0925
O10 O 0.1732 0.0158 0.4356
O11 O 0.1806 0.6029 0.6624
O12 O 0.2114 0.4613 0.7248
O13 O 0.2448 0.2676 0.1177
O14 O 0.2509 0.0761 0.8657
O15 O 0.2830 0.8808 0.2932
O16 O 0.3252 0.3251 0.5478
O17 O 0.3274 0.7385 0.3539
O18 O 0.3374 0.5855 0.9227
O19 O 0.3760 0.7952 0.8777
O20 O 0.4081 0.6555 0.1867
O21 O 0.4153 0.9192 0.5727
O22 O 0.4414 0.4678 0.0781
O23 O 0.4526 0.5139 0.5614
O24 O 0.4569 0.0398 0.6610
O25 O 0.4622 0.7782 0.6434
O26 O 0.4756 0.6792 0.8050
O27 O 0.5244 0.1792 0.1950
O28 O 0.5378 0.2782 0.3566
O29 O 0.5431 0.5398 0.3390
O30 O 0.5474 0.0139 0.4386
O31 O 0.5586 0.9678 0.9219
O32 O 0.5847 0.4192 0.4273
O33 O 0.5919 0.1555 0.8133
O34 O 0.6240 0.2952 0.1223
O35 O 0.6626 0.0855 0.0773
O36 O 0.6726 0.2385 0.6461
O37 O 0.6748 0.8251 0.4522
O38 O 0.7170 0.3808 0.7068
O39 O 0.7491 0.5761 0.1343
O40 O 0.7552 0.7676 0.8823
O41 O 0.7886 0.9613 0.2752
O42 O 0.8194 0.1029 0.3376
O43 O 0.8268 0.5158 0.5644
O44 O 0.8348 0.2576 0.9075
O45 O 0.8793 0.0479 0.8646
O46 O 0.9090 0.1876 0.1743
O47 O 0.9181 0.9255 0.5649
O48 O 0.9301 0.3777 0.0524
O49 O 0.9447 0.3211 0.5383
O50 O 0.9521 0.8112 0.6835
O51 O 0.9556 0.0660 0.6261
O52 O 0.9724 0.1645 0.7884
```

---

no.,formation energy (kJ per mole of atoms)
1,-174.31
2,-226.70
3,-205.12
4,-169.29
5,-227.32